Entry 1:
Density functional theory data (PBE-GGA) for a geometry-optimized Sr6Al7ClO16 structure.

- E_form (eV per atom) = -3.40

```
Sr6Al7ClO16
1.0
-6.2329 6.2329 6.2407
6.2329 -6.2329 6.2407
6.2329 6.2329 -6.2407
Sr Al Cl O
12 14 2 32
Cartesian
9.3494 1.7050 -1.5602
0.0000 0.0000 2.8655
3.1165 4.8655 -1.5602
1.7050 3.1165 1.5602
7.6003 3.1165 1.5602
3.1165 1.3674 4.6806
0.0000 6.2329 0.2548
-3.1165 4.5279 4.6806
0.0000 0.0000 9.6159
-1.3674 3.1165 7.8009
4.5279 3.1165 7.8009
0.0000 6.2329 5.9859
3.1165 1.5741 -1.5602
3.3164 -0.1960 1.3601
6.0369 3.3164 -1.7603
9.1495 0.1960 1.3601
6.4289 -2.9165 4.8807
6.2329 0.0000 3.1204
4.6588 -3.1165 7.8009
0.0000 0.0000 6.2407
0.1960 2.9165 4.4804
2.9165 -0.1960 8.0010
6.0369 2.9165 4.8807
3.3164 6.4289 1.7603
3.1165 4.6588 4.6806
1.5741 9.3494 1.5602
0.0000 0.0000 0.0000
0.0000 6.2329 3.1204
3.6753 0.4842 -0.2681
6.7171 3.6753 -3.3885
4.3804 2.7056 -2.1015
4.9511 -0.5578 2.0237
3.8666 5.4095 -3.8373
7.0564 2.3663 -0.7169
1.8525 2.7056 -1.0189
7.5148 0.5578 2.0237
9.7602 1.8525 1.0189
6.7907 -1.2818 4.2171
2.3663 0.8234 2.4034
5.6751 4.9511 -1.0967
5.7487 -2.5576 6.5088
-0.4842 2.5576 2.8523
5.6751 1.2818 4.2171
2.3663 5.4095 0.7169
0.5578 1.2818 5.1440
3.5273 -1.8525 8.3422
1.2818 -0.5578 7.3374
1.8525 3.5273 4.1393
7.0564 3.8666 3.8373
3.8666 0.8234 6.9577
4.9511 6.7907 1.0967
4.3804 3.5273 5.2218
0.4842 8.7905 0.2681
3.6753 5.7487 3.3885
-0.8234 3.8666 5.5238
2.5576 0.4842 9.6292
2.7056 8.0854 2.1015
-3.5273 4.3804 7.2596
2.5576 5.7487 5.9726
-0.8234 2.3663 10.0780
```

---

Entry 2:
Density functional theory data (PBE-GGA) for a geometry-optimized CsSbS2O8 structure.

- E_form (eV per atom) = -1.97

```
CsSbS2O8
1.0
5.3364 0.0000 0.0000
0.0000 9.8241 0.0000
0.0000 0.0000 15.4545
Cs Sb S O
4 4 8 32
Cartesian
1.2672 1.5889 4.0362
1.4010 8.2351 11.7634
3.9354 3.3231 11.4183
4.0692 6.5010 3.6911
1.1015 5.0376 7.4002
1.5666 4.7865 15.1274
3.7697 9.6986 8.0543
4.2348 0.1255 0.3271
1.2169 1.6899 13.9467
1.2640 1.5218 9.0218
1.4042 8.3023 1.2945
1.4513 8.1342 6.2194
3.8851 3.2222 1.5078
3.9322 3.3903 6.4327
4.0724 6.4338 14.1600
4.1195 6.6019 9.2350
0.0557 0.6934 9.4171
0.0726 8.6038 6.0639
0.1714 9.1503 1.7965
0.2881 1.1788 12.9503
0.7288 1.4216 15.3539
1.1990 3.2482 13.7764
1.2822 2.7628 9.7797
1.2942 8.1688 15.2946
1.3740 1.6553 7.5674
1.3860 7.0613 2.0525
1.4692 6.5759 6.0491
1.9394 8.4025 7.6266
2.3801 8.6453 5.2231
2.4968 0.6738 9.5237
2.5956 1.2203 13.7911
2.6125 9.1307 1.6899
2.7239 4.2187 6.0374
2.7408 6.1324 9.3906
2.8395 5.5858 13.6580
2.9563 3.7333 2.5041
3.3970 3.4905 0.1006
3.8672 1.6639 1.6781
3.9504 2.1492 5.6748
3.9624 6.5674 0.1598
4.0422 3.2567 7.8871
4.0542 7.6749 13.4020
4.1374 8.1602 9.4053
4.6076 6.3336 7.8278
5.0483 6.0908 10.2314
5.1650 4.2383 5.9307
5.2638 3.6917 1.6634
5.2807 5.6054 13.7646
```